Entry 1:
Computed, not measured: a relaxed Mg6CrBi crystal at the GGA-PBE level of DFT.

Computed properties:
spin magnetization: 4.0 μB per formula unit
energy of formation from the pure elements: 0.105 eV per atom
energy relative to the lowest polymorph listed for this composition: 0.5 kJ/mol of atoms

Unit cell a=5.1278 b=6.4382 c=11.0011 alpha=90.00 beta=90.00 gamma=90.00
Positions (direct):
Mg 0.5000 0.2464 0.9151
Mg 0.5000 0.5000 0.6678
Mg 0.0000 0.7600 0.0798
Mg 0.5000 0.7464 0.4151
Mg 0.0000 0.2600 0.5798
Mg 0.0000 0.5000 0.8342
Mg 0.5000 0.2536 0.4151
Mg 0.5000 0.0000 0.1678
Mg 0.0000 0.2400 0.0798
Mg 0.5000 0.7536 0.9151
Mg 0.0000 0.0000 0.3342
Mg 0.0000 0.7400 0.5798
Cr 0.0000 0.0000 0.8369
Cr 0.0000 0.5000 0.3369
Bi 0.5000 0.5000 0.1713
Bi 0.5000 0.0000 0.6713

Entry 2:
Computed, not measured: a relaxed CrBi2N3 crystal at the GGA-PBE level of DFT.

Computed properties:
spin magnetization: 0.1 μB per formula unit
energy of formation from the pure elements: 0.143 eV per atom
symmetry: C2/c, No. 15

Unit cell a=6.5268 b=11.7643 c=12.5360 alpha=90.00 beta=89.03 gamma=154.32
Positions (direct):
N 0.7330 0.4493 0.1094
N 0.0000 0.0295 0.7500
N 0.7330 0.2837 0.6094
N 0.5941 0.6432 0.4319
N 0.0000 0.5880 0.7500
N 0.2670 0.5507 0.8906
N 0.4059 0.0491 0.0681
N 0.0000 0.9705 0.2500
N 0.2670 0.7163 0.3906
N 0.4059 0.3568 0.5681
N 0.5941 0.9509 0.9319
N 0.0000 0.4120 0.2500
Cr 0.4693 0.7778 0.8307
Cr 0.4693 0.6915 0.3307
Cr 0.5307 0.2222 0.1693
Cr 0.5307 0.3085 0.6693
Bi 0.4705 0.3633 0.9399
Bi 0.5193 0.9127 0.1178
Bi 0.4807 0.3935 0.3822
Bi 0.4705 0.1072 0.4399
Bi 0.4807 0.0873 0.8822
Bi 0.5295 0.6367 0.0601
Bi 0.5295 0.8928 0.5601
Bi 0.5193 0.6065 0.6178

Entry 3:
Computed, not measured: a relaxed Cs3Bi crystal at the GGA-PBE level of DFT.

Computed properties:
energy of formation from the pure elements: -0.284 eV per atom
symmetry: Fm-3m, No. 225

Unit cell a=6.7430 b=6.7430 c=6.7430 alpha=60.00 beta=60.00 gamma=60.00
Positions (direct):
Cs 0.5000 0.5000 0.5000
Cs 0.7500 0.7500 0.7500
Cs 0.2500 0.2500 0.2500
Bi 0.0000 0.0000 0.0000

Entry 4:
Computed, not measured: a relaxed Cs3Bi2 crystal at the GGA-PBE level of DFT.

Computed properties:
energy of formation from the pure elements: -0.325 eV per atom
symmetry: C2/c, No. 15

Unit cell a=7.3747 b=7.3747 c=10.3173 alpha=99.95 beta=99.95 gamma=91.88
Positions (direct):
Cs 0.1602 0.8398 0.7500
Cs 0.2409 0.3365 0.0154
Cs 0.8398 0.1602 0.2500
Cs 0.6635 0.7591 0.4846
Cs 0.7591 0.6635 0.9846
Cs 0.3365 0.2409 0.5154
Bi 0.1224 0.6879 0.3392
Bi 0.8776 0.3121 0.6608
Bi 0.3121 0.8776 0.1608
Bi 0.6879 0.1224 0.8392

Entry 5:
Computed, not measured: a relaxed CsBi2 crystal at the GGA-PBE level of DFT.

Computed properties:
energy of formation from the pure elements: -0.308 eV per atom
symmetry: Fd-3m, No. 227

Unit cell a=6.9596 b=6.9596 c=6.9596 alpha=60.00 beta=60.00 gamma=60.00
Positions (direct):
Bi 0.1250 0.1250 0.1250
Bi 0.1250 0.1250 0.6250
Bi 0.1250 0.6250 0.1250
Bi 0.6250 0.1250 0.1250
Cs 0.5000 0.5000 0.5000
Cs 0.7500 0.7500 0.7500

Entry 6:
Computed, not measured: a relaxed Cs2CuBiF6 crystal at the GGA-PBE level of DFT.

Computed properties:
spin magnetization: 0.0 μB per formula unit
energy of formation from the pure elements: -2.517 eV per atom
symmetry: Fm-3m, No. 225

Unit cell a=6.5048 b=6.5048 c=6.5048 alpha=60.00 beta=60.00 gamma=60.00
Positions (direct):
Cs 0.2500 0.2500 0.2500
Cs 0.7500 0.7500 0.7500
F 0.7492 0.2508 0.2508
F 0.2508 0.7492 0.7492
F 0.7492 0.7492 0.2508
F 0.2508 0.7492 0.2508
F 0.2508 0.2508 0.7492
F 0.7492 0.2508 0.7492
Bi 0.0000 0.0000 0.0000
Cu 0.5000 0.5000 0.5000

Entry 7:
Computed, not measured: a relaxed Cs3Cu2Bi5S10 crystal at the GGA-PBE level of DFT.

Computed properties:
spin magnetization: 0.0 μB per formula unit
energy of formation from the pure elements: -0.833 eV per atom
symmetry: Pnnm, No. 58

Unit cell a=4.1145 b=15.2105 c=18.1995 alpha=90.00 beta=90.00 gamma=90.00
Positions (direct):
S 0.0000 0.8614 0.6508
S 0.5000 0.2928 0.2208
S 0.0000 0.3856 0.4416
S 0.5000 0.1780 0.5291
S 0.5000 0.6386 0.1508
S 0.0000 0.7928 0.2792
S 0.0000 0.2072 0.7208
S 0.0000 0.6144 0.5584
S 0.5000 0.7072 0.7792
S 0.5000 0.5969 0.3657
S 0.5000 0.3614 0.8492
S 0.0000 0.0969 0.1343
S 0.5000 0.8856 0.0584
S 0.0000 0.3220 0.0291
S 0.0000 0.9031 0.8657
S 0.5000 0.4031 0.6343
S 0.5000 0.1144 0.9416
S 0.5000 0.8220 0.4709
S 0.0000 0.1386 0.3492
S 0.0000 0.6780 0.9709
Cs 0.0000 0.4776 0.2477
Cs 0.5000 0.0224 0.7477
Cs 0.5000 0.9776 0.2523
Cs 0.5000 0.5000 0.0000
Cs 0.0000 0.5224 0.7523
Cs 0.0000 0.0000 0.5000
Bi 0.0000 0.2558 0.8943
Bi 0.0000 0.7113 0.4097
Bi 0.0000 0.0000 0.0000
Bi 0.5000 0.7887 0.9097
Bi 0.0000 0.7442 0.1057
Bi 0.5000 0.2442 0.3943
Bi 0.5000 0.7558 0.6057
Bi 0.5000 0.2113 0.0903
Bi 0.0000 0.2887 0.5903
Bi 0.5000 0.5000 0.5000
Cu 0.0000 0.7795 0.7597
Cu 0.0000 0.2205 0.2403
Cu 0.5000 0.2795 0.7403
Cu 0.5000 0.7205 0.2597

Entry 8:
Computed, not measured: a relaxed Cs3BiF6 crystal at the GGA-PBE level of DFT.

Computed properties:
spin magnetization: 0.0 μB per formula unit
energy of formation from the pure elements: -2.840 eV per atom
symmetry: P-1, No. 2

Unit cell a=9.5619 b=7.6766 c=7.7259 alpha=76.69 beta=111.39 gamma=128.42
Positions (direct):
F 0.0513 0.2711 0.7780
F 0.2136 0.0006 0.9313
F 0.9487 0.7289 0.2220
F 0.2197 0.2863 0.2069
F 0.7864 0.9994 0.0687
F 0.7803 0.7137 0.7931
Cs 0.0000 0.5000 0.0000
Cs 0.0000 0.0000 0.5000
Cs 0.5000 0.5000 0.0000
Bi 0.0000 0.0000 0.0000

Entry 9:
Computed, not measured: a relaxed Cs3BiF6 crystal at the GGA-PBE level of DFT.

Computed properties:
energy of formation from the pure elements: -2.884 eV per atom
symmetry: Fm-3m, No. 225

Unit cell a=7.2218 b=7.2218 c=7.2218 alpha=60.00 beta=60.00 gamma=60.00
Positions (direct):
F 0.2231 0.7769 0.7769
F 0.7769 0.2231 0.2231
F 0.7769 0.7769 0.2231
F 0.2231 0.2231 0.7769
F 0.2231 0.7769 0.2231
F 0.7769 0.2231 0.7769
Cs 0.5000 0.5000 0.5000
Cs 0.2500 0.2500 0.2500
Cs 0.7500 0.7500 0.7500
Bi 0.0000 0.0000 0.0000

Entry 10:
Computed, not measured: a relaxed Cs2HgBiF6 crystal at the GGA-PBE level of DFT.

Computed properties:
spin magnetization: 0.2 μB per formula unit
energy of formation from the pure elements: -2.506 eV per atom
symmetry: Fm-3m, No. 225

Unit cell a=6.9249 b=6.9249 c=6.9249 alpha=60.00 beta=60.00 gamma=60.00
Positions (direct):
F 0.7686 0.2314 0.2314
F 0.2314 0.7686 0.2314
F 0.2314 0.7686 0.7686
F 0.7686 0.2314 0.7686
F 0.7686 0.7686 0.2314
F 0.2314 0.2314 0.7686
Bi 0.0000 0.0000 0.0000
Cs 0.2500 0.2500 0.2500
Cs 0.7500 0.7500 0.7500
Hg 0.5000 0.5000 0.5000

Entry 11:
Computed, not measured: a relaxed Cs2RbBiF6 crystal at the GGA-PBE level of DFT.

Computed properties:
spin magnetization: 0.0 μB per formula unit
energy of formation from the pure elements: -2.912 eV per atom
symmetry: Fm-3m, No. 225

Unit cell a=7.0531 b=7.0531 c=7.0531 alpha=60.00 beta=60.00 gamma=60.00
Positions (direct):
Cs 0.7500 0.7500 0.7500
Cs 0.2500 0.2500 0.2500
Bi 0.0000 0.0000 0.0000
F 0.2285 0.7715 0.2285
F 0.7715 0.2285 0.7715
F 0.7715 0.7715 0.2285
F 0.2285 0.7715 0.7715
F 0.2285 0.2285 0.7715
F 0.7715 0.2285 0.2285
Rb 0.5000 0.5000 0.5000

Entry 12:
Computed, not measured: a relaxed CsRb2BiF6 crystal at the GGA-PBE level of DFT.

Computed properties:
spin magnetization: 0.0 μB per formula unit
energy of formation from the pure elements: -2.833 eV per atom
symmetry: Fm-3m, No. 225

Unit cell a=7.1853 b=7.1853 c=7.1853 alpha=60.00 beta=60.00 gamma=60.00
Positions (direct):
F 0.2236 0.7764 0.2236
F 0.7764 0.7764 0.2236
F 0.2236 0.7764 0.7764
F 0.7764 0.2236 0.2236
F 0.2236 0.2236 0.7764
F 0.7764 0.2236 0.7764
Cs 0.5000 0.5000 0.5000
Bi 0.0000 0.0000 0.0000
Rb 0.7500 0.7500 0.7500
Rb 0.2500 0.2500 0.2500

Entry 13:
Computed, not measured: a relaxed CsGeBiS4 crystal at the GGA-PBE level of DFT.

Computed properties:
spin magnetization: 0.0 μB per formula unit
energy of formation from the pure elements: -0.935 eV per atom
symmetry: P2_1/c, No. 14

Unit cell a=7.0311 b=6.7032 c=19.1921 alpha=70.80 beta=90.00 gamma=90.00
Positions (direct):
S 0.6606 0.4097 0.7212
S 0.8394 0.4097 0.2212
S 0.0191 0.0037 0.1515
S 0.7449 0.4083 0.4060
S 0.3394 0.5903 0.2788
S 0.9759 0.0197 0.6386
S 0.4809 0.0037 0.6515
S 0.1606 0.5903 0.7788
S 0.5241 0.0197 0.1386
S 0.0241 0.9803 0.3614
S 0.9809 0.9963 0.8485
S 0.5191 0.9963 0.3485
S 0.2551 0.5917 0.5940
S 0.7551 0.4083 0.9060
S 0.4759 0.9803 0.8614
S 0.2449 0.5917 0.0940
Bi 0.6934 0.7609 0.2756
Bi 0.3066 0.2391 0.7244
Bi 0.8066 0.7609 0.7756
Bi 0.1934 0.2391 0.2244
Ge 0.7217 0.1987 0.8380
Ge 0.2217 0.8013 0.6620
Ge 0.7783 0.1987 0.3380
Ge 0.2783 0.8013 0.1620
Cs 0.2449 0.2941 0.4647
Cs 0.7551 0.7059 0.5353
Cs 0.2551 0.2941 0.9647
Cs 0.7449 0.7059 0.0353

Entry 14:
Computed, not measured: a relaxed Cs2HgBiI6 crystal at the GGA-PBE level of DFT.

Computed properties:
spin magnetization: 0.0 μB per formula unit
energy of formation from the pure elements: -1.080 eV per atom
symmetry: Fm-3m, No. 225

Unit cell a=8.8406 b=8.8406 c=8.8406 alpha=60.00 beta=60.00 gamma=60.00
Positions (direct):
I 0.2481 0.7519 0.2481
I 0.7519 0.7519 0.2481
I 0.7519 0.2481 0.7519
I 0.2481 0.7519 0.7519
I 0.7519 0.2481 0.2481
I 0.2481 0.2481 0.7519
Hg 0.5000 0.5000 0.5000
Cs 0.2500 0.2500 0.2500
Cs 0.7500 0.7500 0.7500
Bi 0.0000 0.0000 0.0000

Entry 15:
Computed, not measured: a relaxed Cs3BiI6 crystal at the GGA-PBE level of DFT.

Computed properties:
spin magnetization: 0.0 μB per formula unit
energy of formation from the pure elements: -1.306 eV per atom
symmetry: Fm-3m, No. 225

Unit cell a=9.4974 b=9.4974 c=9.4974 alpha=60.00 beta=60.00 gamma=60.00
Positions (direct):
Cs 0.2500 0.2500 0.2500
Cs 0.7500 0.7500 0.7500
Cs 0.5000 0.5000 0.5000
I 0.7701 0.2299 0.2299
I 0.2299 0.7701 0.2299
I 0.7701 0.7701 0.2299
I 0.7701 0.2299 0.7701
I 0.2299 0.2299 0.7701
I 0.2299 0.7701 0.7701
Bi 0.0000 0.0000 0.0000

Entry 16:
Computed, not measured: a relaxed Cs2LiBiI6 crystal at the GGA-PBE level of DFT.

Computed properties:
spin magnetization: 0.0 μB per formula unit
energy of formation from the pure elements: -1.277 eV per atom
symmetry: Fm-3m, No. 225

Unit cell a=8.6350 b=8.6350 c=8.6350 alpha=60.00 beta=60.00 gamma=60.00
Positions (direct):
I 0.2532 0.2532 0.7468
I 0.7468 0.2532 0.2532
I 0.2532 0.7468 0.2532
I 0.2532 0.7468 0.7468
I 0.7468 0.7468 0.2532
I 0.7468 0.2532 0.7468
Bi 0.0000 0.0000 0.0000
Cs 0.2500 0.2500 0.2500
Cs 0.7500 0.7500 0.7500
Li 0.5000 0.5000 0.5000

Entry 17:
Computed, not measured: a relaxed Cs2TlBiI6 crystal at the GGA-PBE level of DFT.

Computed properties:
spin magnetization: 0.0 μB per formula unit
energy of formation from the pure elements: -1.174 eV per atom
symmetry: Fm-3m, No. 225

Unit cell a=9.0876 b=9.0876 c=9.0876 alpha=60.00 beta=60.00 gamma=60.00
Positions (direct):
I 0.2406 0.2406 0.7594
I 0.7594 0.2406 0.2406
I 0.7594 0.2406 0.7594
I 0.2406 0.7594 0.7594
I 0.7594 0.7594 0.2406
I 0.2406 0.7594 0.2406
Cs 0.7500 0.7500 0.7500
Cs 0.2500 0.2500 0.2500
Tl 0.5000 0.5000 0.5000
Bi 0.0000 0.0000 0.0000